# 1
The following is a PBE-GGA calculation of crystalline Ir3Os at its relaxed geometry, from the Materials Project.

The space group is Pm-3m (No. 221) and the conventional cell measures 3.8697, 3.8697 and 3.8697 Å, with angles of 90.00, 90.00 and 90.00 degrees. The inequivalent atoms are Ir at (0.0000, 0.0000, 0.5000) and Os at (0.5000, 0.5000, 0.5000).

The total energy comes out at -9.4140 eV per atom. As for the formation energy: 0.087 eV per formula unit.

# 2
The following is a PBE-GGA calculation of crystalline IrOsRu at its relaxed geometry, from the Materials Project.

The space group is P3m1 (No. 156) and the conventional cell measures 2.7273, 2.7273 and 6.6735 Å, with angles of 90.00, 90.00 and 120.00 degrees. The inequivalent atoms are Ir at (0.0000, 0.0000, 0.0000), Os at (0.6667, 0.3333, 0.3374) and Ru at (0.3333, 0.6667, 0.6603).

The total energy comes out at -9.7498 eV per atom. As for the formation energy: 0.091 eV per formula unit.

# 3
The following is a PBE-GGA calculation of crystalline TcIrOs at its relaxed geometry, from the Materials Project.

The space group is F-43m (No. 216) and the conventional cell measures 5.9025, 5.9025 and 5.9025 Å, with angles of 90.00, 90.00 and 90.00 degrees. The inequivalent atoms are Tc at (0.0000, 0.0000, 0.0000), Ir at (0.2500, 0.2500, 0.7500) and Os at (0.2500, 0.2500, 0.2500).

The total energy comes out at -9.5974 eV per atom. As for the formation energy: 1.634 eV per formula unit.